KScW2O8: optimized geometry, PBE with a Hubbard U.

## Properties
Energy relative to the elements = -2.62 eV per atom
Electronic total energy = -7.506 eV/atom
Total magnetic moment = 0.000 μB per atom
Space group = C2/c (15)
E (MP2020) = -8.7033 eV per atom

Cell and atoms, written as extended XYZ:
```
24
Lattice="5.119 5.512 0.000 -5.119 5.512 0.000 0.000 4.832 5.561" Properties=species:S:1:pos:R:3 pbc="T T T"
O -0.695 7.972 5.216
O 1.130 10.453 1.157
O 0.695 7.883 0.346
O -1.188 7.589 2.494
O -1.188 5.850 0.286
O 1.495 11.905 3.359
O -1.495 3.950 2.202
O 1.188 10.005 5.275
O 1.130 2.986 1.623
O 1.495 6.366 4.983
O -0.695 10.299 3.126
O -1.130 12.870 3.938
O 1.188 8.266 3.067
O -1.495 9.489 0.578
O -1.130 5.402 4.404
O 0.695 5.556 2.435
W -0.049 4.305 1.123
W 0.049 11.551 4.438
W -0.049 9.135 1.657
W 0.049 6.721 3.904
K -2.991 9.136 4.171
K 2.991 6.720 1.390
Sc -2.856 6.720 1.390
Sc 2.856 9.136 4.171
```


LiCoPO4: optimized geometry, PBE with a Hubbard U.

## Properties
Energy relative to the elements = -2.31 eV per atom
Electronic total energy = -6.574 eV/atom
Total magnetic moment = 0.429 μB per atom
Space group = P2_1/c (14)
Excess energy over the best structure of this formula in the dataset = 96.6 meV/atom
E (MP2020) = -7.2003 eV per atom

Cell and atoms, written as extended XYZ:
```
84
Lattice="-6.295 1.959 3.652 2.784 -3.967 6.927 9.313 8.805 11.330" Properties=species:S:1:pos:R:3 pbc="T T T"
Li 0.631 3.331 10.691
Li -1.393 -1.138 9.707
Li 5.172 3.466 11.218
Li 7.196 7.934 12.202
Li 2.674 3.490 6.459
Li 7.770 4.045 15.408
Li -1.968 2.752 6.501
Li 3.353 -0.432 9.604
Li 3.128 3.307 15.450
Li 2.450 7.229 12.304
Li 5.065 7.803 16.484
Li 0.737 -1.006 5.424
O -0.911 3.192 8.125
O 9.173 5.337 15.132
O -0.455 4.759 10.072
O 4.278 5.989 16.217
O 4.664 3.222 9.342
O 6.606 6.218 20.710
O 7.534 6.514 13.548
O 2.754 1.565 14.578
O 6.943 4.986 9.315
O 3.048 5.232 7.330
O 3.136 1.363 10.268
O 5.086 5.025 18.412
O 6.489 7.761 17.829
O -4.166 -0.267 8.483
O -1.223 -0.498 11.520
O -0.804 0.579 1.199
O 6.714 3.605 13.784
O 0.521 -1.842 9.508
O 8.199 1.620 13.420
O 9.968 7.064 13.426
O 3.013 2.069 7.805
O 1.525 0.808 5.692
O 0.188 -1.925 6.991
O -0.687 -0.964 4.079
O 0.996 3.319 5.521
O 3.612 3.164 12.338
O 1.139 3.575 12.567
O 2.666 5.433 11.641
O 0.977 0.452 12.429
O -3.370 1.460 6.777
O 2.191 3.633 9.571
O 2.265 -0.862 7.999
O 6.646 5.240 16.443
O 5.281 8.639 12.401
O -0.843 1.557 5.465
O -1.732 0.283 8.361
O 4.826 6.345 9.479
O 0.717 1.772 3.497
O 6.258 2.038 11.836
O 7.025 7.295 10.389
O -2.397 5.177 8.489
O -0.062 1.488 10.368
O 2.790 4.728 14.104
O 5.614 8.722 14.918
O -1.140 1.811 12.594
O 4.806 3.478 16.388
O 5.865 5.309 11.540
O 3.537 7.659 13.910
P 5.182 4.902 16.872
P 6.164 6.022 10.187
P 2.545 4.253 12.627
P -0.923 4.683 8.591
P 4.567 8.826 13.772
P 0.621 1.895 5.037
P 3.258 2.544 9.281
P -0.361 0.775 11.721
P 1.236 -2.029 8.136
P 8.839 6.659 14.410
P 6.726 2.114 13.318
P -3.037 0.138 7.499
Co -1.850 0.688 3.933
Co 7.653 6.109 17.975
Co 1.104 0.261 2.127
Co 2.895 1.245 12.462
Co 5.999 5.364 13.473
Co -0.197 1.433 8.436
Co 5.723 4.183 7.906
Co 2.908 5.552 9.447
Co 3.060 0.427 6.812
Co 4.698 6.535 19.782
Co 2.743 6.370 15.097
Co 0.079 2.614 14.003
```


VCrO4: optimized geometry, PBE with a Hubbard U.

## Properties
Energy relative to the elements = -2.35 eV per atom
Electronic total energy = -7.702 eV/atom
Space group = Cmcm (63)
E (MP2020) = -8.7764 eV per atom

Cell and atoms, written as extended XYZ:
```
12
Lattice="-1.914 4.705 0.000 0.000 0.000 6.192 5.079 -0.032 0.000" Properties=species:S:1:pos:R:3 pbc="T T T"
Cr 0.000 0.000 0.000
Cr 0.000 0.000 3.096
O 3.437 1.081 2.896
O -0.271 3.592 3.295
O -0.271 3.592 5.992
O 0.904 0.980 1.548
O 0.575 1.203 4.644
O 3.437 1.081 0.200
O 2.262 3.693 4.644
O 2.590 3.471 1.548
V 0.568 3.024 4.644
V 2.597 1.650 1.548
```


Li9Mn2Co5O16: optimized geometry, PBE with a Hubbard U.

## Properties
Energy relative to the elements = -1.81 eV per atom
Electronic total energy = -5.800 eV/atom
Total magnetic moment = 0.437 μB per atom
Space group = Pm (6)
Excess energy over the best structure of this formula in the dataset = 54.2 meV/atom
E (MP2020) = -6.5041 eV per atom

Cell and atoms, written as extended XYZ:
```
32
Lattice="2.922 0.000 0.000 0.000 9.773 0.000 0.000 1.788 10.182" Properties=species:S:1:pos:R:3 pbc="T T T"
O 0.000 7.278 5.820
O 0.000 1.790 3.255
O 0.000 6.305 0.652
O 1.461 3.930 1.973
O 0.000 4.381 4.431
O 1.461 2.134 5.688
O 1.461 6.790 3.129
O 1.461 7.539 8.095
O 1.461 4.959 7.129
O 0.000 5.229 9.484
O 1.461 9.385 4.650
O 1.461 1.147 0.518
O 0.000 8.883 1.702
O 1.461 10.365 9.580
O 0.000 9.623 6.951
O 0.000 2.679 8.428
Co 1.461 3.280 3.649
Co 0.000 6.192 7.662
Co 0.000 1.006 5.029
Co 1.461 7.377 1.453
Co 1.461 4.015 8.915
Li 1.461 0.474 2.526
Li 0.000 8.796 9.002
Li 0.000 2.750 1.359
Li 1.461 5.727 4.871
Li 0.000 5.327 2.550
Li 1.461 4.896 0.235
Li 0.000 7.998 3.796
Li 1.461 1.395 7.602
Li 0.000 3.596 6.231
Mn 0.000 11.497 10.179
Mn 1.461 8.462 6.370
```